Run i
Computed, not measured: an optimized crystal structure of MgTe2Mo3WSe4S2 at the PBE level of DFT.

Geometry as extended XYZ:
```
13
Lattice="3.3351 0.0001 0.0000 -1.6674 2.8880 0.0000 0.0005 0.0002 37.9822" Properties=species:S:1:pos:R:3 pbc="T T T"
Se 0.0002 1.9255 9.0353
Se 1.6676 0.9628 1.8951
Se 1.6676 0.9627 5.2336
Se 0.0001 1.9255 12.3758
Mo 1.6677 0.9629 10.7052
Mo 0.0001 1.9254 3.5638
Mo 1.6679 0.9630 24.9800
S 1.6679 0.9629 19.3596
S 1.6680 0.9629 16.3112
W 0.0004 1.9255 17.8345
Mg 1.7446 0.6741 33.5054
Te 0.0003 1.9256 26.8781
Te 0.0003 1.9256 23.0799
```

## Properties
SG ... No. 1
Total magnetic moment ... 0.00 μB/f.u.
Crystal system ... triclinic

Run ii
Computed, not measured: an optimized crystal structure of MgTe2Mo3WSe4S2 at the PBE level of DFT.

Geometry as extended XYZ:
```
13
Lattice="3.3383 0.0000 0.0000 -1.6691 2.8906 0.0000 0.0000 0.0000 38.0380" Properties=species:S:1:pos:R:3 pbc="T T T"
Se 1.6691 0.9634 5.2392
Se 0.0000 1.9272 12.3954
Se 0.0000 1.9272 9.0445
Se 1.6691 0.9635 1.9048
Mo 1.6691 0.9637 25.0135
Mo 0.0000 1.9270 17.8647
Mo 0.0000 1.9270 3.5702
S 1.6691 0.9634 19.3809
S 1.6691 0.9634 16.3489
Te 0.0000 1.9272 23.1143
Te 0.0000 1.9272 26.9080
Mg 1.5948 1.1545 33.5053
W 1.6691 0.9637 10.7196
```

## Properties
SG ... No. 1
Total magnetic moment ... 0.01 μB/f.u.
Crystal system ... triclinic

Which structure wins on stability? run i wins.

Run i
Computed, not measured: an optimized crystal structure of MgTe2Mo3WSe4S2 at the PBE level of DFT.

Geometry as extended XYZ:
```
13
Lattice="-0.3614 2.5553 -2.1251 -2.6864 -1.3542 1.4581 3.9742 29.1979 34.4332" Properties=species:S:1:pos:R:3 pbc="T T T"
S 0.8350 15.7413 16.1566
S 0.5686 13.7779 13.8411
Mo 1.5036 20.6501 21.9456
Mo -1.5380 2.6898 3.4959
Mo -0.0746 13.4452 16.1800
Se -0.9092 2.9187 1.0346
Se -0.6169 5.0668 3.5679
Se -0.9382 7.0970 8.6934
Se -0.6446 9.2558 11.2393
Te 0.5610 18.1156 21.6877
Te 0.8944 20.5661 24.5776
W -0.0163 9.4804 8.7729
Mg -0.8465 17.3684 18.3991
```

## Properties
SG ... No. 156
Total magnetic moment ... 0.00 μB/f.u.
Crystal system ... trigonal

Run ii
Computed, not measured: an optimized crystal structure of MgTe2Mo3WSe4S2 at the PBE level of DFT.

Geometry as extended XYZ:
```
13
Lattice="3.3377 0.0000 0.0000 -1.6688 2.8905 0.0000 0.0000 -0.0002 38.1140" Properties=species:S:1:pos:R:3 pbc="T T T"
Mo 0.0000 1.9268 3.5780
Mo 0.0000 1.9268 17.8981
Mo 1.6688 0.9636 10.7398
Te 0.0000 1.9269 26.9717
Te 0.0000 1.9270 23.1545
S 0.0000 1.9271 9.2233
S 0.0000 1.9271 12.2581
W 1.6688 0.9635 25.0652
Mg 0.2334 1.8358 33.6292
Se 1.6688 0.9633 1.9103
Se 1.6688 0.9634 5.2499
Se 1.6688 0.9633 16.2287
Se 1.6688 0.9633 19.5684
```

## Properties
SG ... No. 1
Total magnetic moment ... 0.02 μB/f.u.
Crystal system ... triclinic

Which structure wins on stability? run i wins.

Run i
Computed, not measured: an optimized crystal structure of MgTe2Mo3WSe4S2 at the PBE level of DFT.

Geometry as extended XYZ:
```
13
Lattice="-3.2778 0.5748 0.2681 1.7761 -0.8250 2.7028 8.3829 44.0892 7.9555" Properties=species:S:1:pos:R:3 pbc="T T T"
Mg 1.4158 25.2600 4.7223
Se 5.9798 30.6125 7.4797
Se 1.9795 18.8984 4.4702
Se 2.5968 22.1473 5.0561
Se 5.3611 27.3576 6.8928
Mo 0.8793 3.7833 2.6385
Mo 3.9697 20.0411 5.5724
Mo 0.7700 12.5369 3.3223
S 2.7336 13.5391 4.3991
S 2.1752 10.6011 3.8693
W 3.9875 29.4589 6.3756
Te -0.4556 6.0891 2.1583
Te -1.1544 2.4116 1.4951
```

## Properties
SG ... No. 156
Total magnetic moment ... 0.00 μB/f.u.
Crystal system ... trigonal

Run ii
Computed, not measured: an optimized crystal structure of MgTe2Mo3WSe4S2 at the PBE level of DFT.

Geometry as extended XYZ:
```
13
Lattice="3.3444 0.0004 -0.0030 -1.6718 2.8960 0.0049 -0.0340 0.0452 43.4309" Properties=species:S:1:pos:R:3 pbc="T T T"
Se 1.6563 0.9864 22.3103
Se -0.0240 1.9629 26.8942
Se 1.6533 0.9903 18.9621
Se -0.0210 1.9592 30.2433
Mo -0.0175 1.9533 20.6509
Mo 1.6652 0.9739 12.0001
Mo -0.0027 1.9347 4.0691
Te 1.6681 0.9715 2.1706
Te 1.6713 0.9673 5.9647
W 1.6497 0.9961 28.5666
S -0.0082 1.9407 10.4997
S -0.0061 1.9375 13.5487
Mg -0.0153 0.0246 16.0861
```

## Properties
SG ... No. 1
Total magnetic moment ... 0.00 μB/f.u.
Crystal system ... triclinic

Which structure wins on stability? run ii wins.